[1]
{
  "formula": "Na2Ta4Si7Ge4S5O48",
  "functional": "PBE",
  "state": "optimized geometry",
  "spacegroup": "P1, No. 1",
  "m_tot_mub_per_cell": 0.00,
  "ef_ev_per_atom": -2.558,
  "lattice": [[8.634, 0.000, 0.000], [-0.045, 15.085, 0.000], [-0.162, -0.136, 22.439]],
  "species": ["Na", "Na", "Na", "Na", "Na", "Na", "Ta", "Ta", "Ta", "Ta", "Ta", "Ta", "Ta", "Ta", "Ta", "Ta", "Ta", "Ta", "Si", "Si", "Si", "Si", "Si", "Si", "Si", "Si", "Si", "Si", "Si", "Si", "Si", "Si", "Si", "Si", "Si", "Si", "Si", "Si", "Si", "Ge", "Ge", "Ge", "Ge", "Ge", "Ge", "Ge", "Ge", "Ge", "Ge", "Ge", "Ge", "S", "S", "S", "S", "S", "S", "S", "S", "S", "S", "S", "S", "S", "S", "S", "O", "O", "O", "O", "O", "O", "O", "O", "O", "O", "O", "O", "O", "O", "O", "O", "O", "O", "O", "O", "O", "O", "O", "O", "O", "O", "O", "O", "O", "O", "O", "O", "O", "O", "O", "O", "O", "O", "O", "O", "O", "O", "O", "O", "O", "O", "O", "O", "O", "O", "O", "O", "O", "O", "O", "O", "O", "O", "O", "O", "O", "O", "O", "O", "O", "O", "O", "O", "O", "O", "O", "O", "O", "O", "O", "O", "O", "O", "O", "O", "O", "O", "O", "O", "O", "O", "O", "O", "O", "O", "O", "O", "O", "O", "O", "O", "O", "O", "O", "O", "O", "O", "O", "O", "O", "O", "O", "O", "O", "O", "O", "O", "O", "O", "O", "O", "O", "O", "O", "O", "O", "O", "O", "O", "O", "O", "O", "O", "O", "O", "O", "O", "O", "O", "O", "O", "O", "O", "O", "O", "O", "O", "O", "O"],
  "fractional_positions": [[0.000, 0.000, 0.000], [0.003, 0.329, 0.336], [0.486, 0.829, 0.841], [0.489, 0.498, 0.499], [0.502, 0.495, 0.002], [0.991, 0.999, 0.499], [0.003, 0.994, 0.149], [0.010, 0.657, 0.815], [0.478, 0.158, 0.313], [0.485, 0.494, 0.651], [0.501, 0.820, 0.477], [0.508, 0.151, 0.816], [0.510, 0.488, 0.146], [0.510, 0.824, 0.197], [0.978, 0.325, 0.697], [0.979, 0.321, 0.979], [0.982, 0.651, 0.314], [0.982, 0.993, 0.649], [0.135, 0.854, 0.757], [0.144, 0.509, 0.422], [0.147, 0.187, 0.089], [0.208, 0.155, 0.425], [0.214, 0.489, 0.759], [0.274, 0.988, 0.259], [0.283, 0.655, 0.926], [0.340, 0.686, 0.589], [0.344, 0.354, 0.255], [0.349, 0.013, 0.926], [0.623, 0.352, 0.760], [0.647, 0.686, 0.082], [0.648, 0.017, 0.420], [0.707, 0.982, 0.757], [0.710, 0.315, 0.089], [0.715, 0.648, 0.424], [0.777, 0.481, 0.257], [0.779, 0.148, 0.924], [0.841, 0.185, 0.582], [0.843, 0.516, 0.920], [0.865, 0.853, 0.259], [0.006, 0.318, 0.479], [0.011, 0.648, 0.521], [0.471, 0.827, 0.696], [0.483, 0.820, 0.981], [0.491, 0.157, 0.027], [0.492, 0.489, 0.359], [0.492, 0.489, 0.864], [0.508, 0.150, 0.520], [0.983, 0.646, 0.022], [0.993, 0.996, 0.360], [0.994, 0.987, 0.862], [0.998, 0.325, 0.191], [0.132, 0.803, 0.423], [0.134, 0.472, 0.088], [0.135, 0.135, 0.756], [0.206, 0.822, 0.086], [0.282, 0.322, 0.586], [0.353, 0.635, 0.256], [0.354, 0.303, 0.922], [0.355, 0.971, 0.589], [0.633, 0.969, 0.086], [0.634, 0.639, 0.756], [0.640, 0.304, 0.423], [0.782, 0.820, 0.589], [0.849, 0.803, 0.923], [0.854, 0.138, 0.256], [0.855, 0.470, 0.586], [0.051, 0.758, 0.765], [0.054, 0.414, 0.434], [0.059, 0.088, 0.096], [0.061, 0.100, 0.809], [0.063, 0.562, 0.082], [0.064, 0.763, 0.477], [0.065, 0.232, 0.030], [0.065, 0.558, 0.365], [0.065, 0.892, 0.419], [0.066, 0.435, 0.143], [0.067, 0.225, 0.745], [0.067, 0.900, 0.696], [0.100, 0.244, 0.429], [0.102, 0.067, 0.415], [0.103, 0.576, 0.763], [0.104, 0.904, 0.093], [0.108, 0.744, 0.079], [0.109, 0.403, 0.743], [0.110, 0.081, 0.701], [0.112, 0.245, 0.149], [0.113, 0.917, 0.815], [0.115, 0.417, 0.035], [0.115, 0.748, 0.369], [0.127, 0.572, 0.482], [0.153, 0.677, 0.578], [0.158, 0.338, 0.247], [0.162, 0.001, 0.915], [0.168, 0.975, 0.317], [0.169, 0.644, 0.984], [0.173, 0.009, 0.199], [0.179, 0.676, 0.866], [0.183, 0.980, 0.594], [0.185, 0.315, 0.929], [0.186, 0.647, 0.264], [0.187, 0.313, 0.640], [0.188, 0.344, 0.533], [0.299, 0.845, 0.033], [0.301, 0.813, 0.140], [0.303, 0.146, 0.762], [0.304, 0.485, 0.095], [0.304, 0.814, 0.431], [0.312, 0.176, 0.366], [0.315, 0.509, 0.698], [0.320, 0.143, 0.485], [0.321, 0.475, 0.816], [0.322, 0.839, 0.751], [0.328, 0.170, 0.078], [0.331, 0.500, 0.414], [0.370, 0.415, 0.315], [0.373, 0.581, 0.202], [0.376, 0.249, 0.868], [0.377, 0.077, 0.983], [0.378, 0.915, 0.536], [0.380, 0.244, 0.580], [0.380, 0.902, 0.243], [0.382, 0.747, 0.648], [0.384, 0.075, 0.263], [0.385, 0.405, 0.593], [0.387, 0.567, 0.916], [0.390, 0.745, 0.929], [0.420, 0.401, 0.197], [0.422, 0.725, 0.246], [0.423, 0.059, 0.865], [0.423, 0.588, 0.595], [0.423, 0.733, 0.532], [0.424, 0.060, 0.582], [0.424, 0.933, 0.644], [0.426, 0.393, 0.917], [0.427, 0.265, 0.976], [0.428, 0.600, 0.310], [0.432, 0.259, 0.266], [0.434, 0.915, 0.935], [0.548, 0.255, 0.766], [0.559, 0.735, 0.027], [0.561, 0.601, 0.809], [0.562, 0.589, 0.092], [0.563, 0.056, 0.083], [0.563, 0.399, 0.697], [0.564, 0.728, 0.747], [0.565, 0.922, 0.434], [0.567, 0.927, 0.142], [0.568, 0.065, 0.363], [0.568, 0.264, 0.477], [0.568, 0.392, 0.419], [0.598, 0.070, 0.762], [0.599, 0.406, 0.094], [0.601, 0.232, 0.076], [0.601, 0.565, 0.414], [0.602, 0.895, 0.742], [0.608, 0.738, 0.432], [0.609, 0.417, 0.816], [0.610, 0.583, 0.701], [0.610, 0.745, 0.143], [0.613, 0.912, 0.034], [0.618, 0.249, 0.369], [0.628, 0.076, 0.481], [0.654, 0.177, 0.575], [0.656, 0.504, 0.914], [0.671, 0.136, 0.982], [0.671, 0.473, 0.316], [0.677, 0.508, 0.198], [0.677, 0.840, 0.248], [0.678, 0.172, 0.864], [0.678, 0.814, 0.928], [0.683, 0.480, 0.594], [0.685, 0.146, 0.263], [0.685, 0.841, 0.535], [0.689, 0.812, 0.642], [0.803, 0.648, 0.761], [0.805, 0.978, 0.095], [0.810, 0.006, 0.697], [0.812, 0.314, 0.429], [0.812, 0.341, 0.747], [0.813, 0.343, 0.031], [0.816, 0.674, 0.366], [0.817, 0.308, 0.149], [0.817, 0.971, 0.814], [0.823, 0.641, 0.485], [0.834, 0.003, 0.414], [0.835, 0.677, 0.075], [0.862, 0.576, 0.980], [0.872, 0.750, 0.869], [0.876, 0.082, 0.202], [0.876, 0.414, 0.533], [0.880, 0.243, 0.643], [0.880, 0.916, 0.317], [0.881, 0.745, 0.580], [0.882, 0.904, 0.593], [0.886, 0.571, 0.263], [0.887, 0.237, 0.929], [0.889, 0.397, 0.247], [0.890, 0.063, 0.913], [0.918, 0.566, 0.863], [0.921, 0.765, 0.977], [0.922, 0.429, 0.641], [0.922, 0.893, 0.918], [0.924, 0.087, 0.592], [0.926, 0.099, 0.311], [0.926, 0.225, 0.250], [0.926, 0.559, 0.582], [0.926, 0.898, 0.197], [0.930, 0.234, 0.527], [0.933, 0.423, 0.930], [0.940, 0.756, 0.267]]
}

---

[2]
{
  "formula": "Na14Ti4Si11Ge4SO48",
  "functional": "PBE",
  "state": "optimized geometry",
  "spacegroup": "P1, No. 1",
  "m_tot_mub_per_cell": 0.00,
  "ef_ev_per_atom": -2.754,
  "lattice": [[8.871, 0.000, 0.000], [0.024, 15.325, 0.000], [0.094, 0.086, 21.915]],
  "species": ["Na", "Na", "Na", "Na", "Na", "Na", "Na", "Na", "Na", "Na", "Na", "Na", "Na", "Na", "Na", "Na", "Na", "Na", "Na", "Na", "Na", "Na", "Na", "Na", "Na", "Na", "Na", "Na", "Na", "Na", "Na", "Na", "Na", "Na", "Na", "Na", "Na", "Na", "Na", "Na", "Na", "Na", "Ti", "Ti", "Ti", "Ti", "Ti", "Ti", "Ti", "Ti", "Ti", "Ti", "Ti", "Ti", "Si", "Si", "Si", "Si", "Si", "Si", "Si", "Si", "Si", "Si", "Si", "Si", "Si", "Si", "Si", "Si", "Si", "Si", "Si", "Si", "Si", "Si", "Si", "Si", "Si", "Si", "Si", "Si", "Si", "Si", "Si", "Si", "Si", "Ge", "Ge", "Ge", "Ge", "Ge", "Ge", "Ge", "Ge", "Ge", "Ge", "Ge", "Ge", "S", "S", "S", "O", "O", "O", "O", "O", "O", "O", "O", "O", "O", "O", "O", "O", "O", "O", "O", "O", "O", "O", "O", "O", "O", "O", "O", "O", "O", "O", "O", "O", "O", "O", "O", "O", "O", "O", "O", "O", "O", "O", "O", "O", "O", "O", "O", "O", "O", "O", "O", "O", "O", "O", "O", "O", "O", "O", "O", "O", "O", "O", "O", "O", "O", "O", "O", "O", "O", "O", "O", "O", "O", "O", "O", "O", "O", "O", "O", "O", "O", "O", "O", "O", "O", "O", "O", "O", "O", "O", "O", "O", "O", "O", "O", "O", "O", "O", "O", "O", "O", "O", "O", "O", "O", "O", "O", "O", "O", "O", "O", "O", "O", "O", "O", "O", "O", "O", "O", "O", "O", "O", "O", "O", "O", "O", "O", "O", "O", "O", "O", "O", "O", "O", "O", "O", "O", "O", "O", "O", "O", "O", "O", "O", "O", "O", "O"],
  "fractional_positions": [[0.000, 0.000, 0.000], [0.000, 0.331, 0.668], [0.000, 0.366, 0.001], [0.001, 0.665, 0.333], [0.001, 0.700, 0.668], [0.049, 0.015, 0.668], [0.052, 0.349, 0.333], [0.177, 0.846, 0.582], [0.180, 0.519, 0.919], [0.181, 0.183, 0.250], [0.182, 0.183, 0.751], [0.188, 0.846, 0.082], [0.189, 0.517, 0.419], [0.312, 0.348, 0.834], [0.315, 0.015, 0.167], [0.363, 0.699, 0.167], [0.364, 0.665, 0.833], [0.365, 0.000, 0.501], [0.365, 0.332, 0.167], [0.367, 0.033, 0.834], [0.497, 0.532, 0.334], [0.499, 0.499, 0.001], [0.499, 0.831, 0.668], [0.500, 0.166, 0.334], [0.501, 0.200, 0.668], [0.548, 0.182, 0.999], [0.549, 0.515, 0.667], [0.550, 0.849, 0.334], [0.676, 0.346, 0.582], [0.678, 0.014, 0.917], [0.683, 0.349, 0.084], [0.683, 0.683, 0.251], [0.683, 0.683, 0.750], [0.689, 0.017, 0.419], [0.816, 0.515, 0.168], [0.816, 0.849, 0.833], [0.865, 0.500, 0.501], [0.868, 0.164, 0.834], [0.868, 0.200, 0.168], [0.868, 0.831, 0.168], [0.869, 0.533, 0.834], [0.996, 0.032, 0.334], [0.182, 0.182, 0.102], [0.182, 0.847, 0.231], [0.184, 0.182, 0.898], [0.185, 0.175, 0.397], [0.193, 0.177, 0.604], [0.672, 0.676, 0.104], [0.675, 0.019, 0.067], [0.678, 0.675, 0.896], [0.684, 0.015, 0.770], [0.684, 0.016, 0.271], [0.686, 0.673, 0.397], [0.693, 0.676, 0.604], [0.030, 0.033, 0.501], [0.038, 0.374, 0.168], [0.040, 0.657, 0.167], [0.042, 0.706, 0.834], [0.042, 0.990, 0.835], [0.325, 0.661, 0.669], [0.325, 0.704, 0.335], [0.326, 0.374, 0.667], [0.326, 0.990, 0.336], [0.328, 0.031, 0.999], [0.330, 0.330, 0.000], [0.383, 0.685, 0.000], [0.393, 0.350, 0.332], [0.398, 0.013, 0.666], [0.465, 0.512, 0.168], [0.470, 0.849, 0.833], [0.483, 0.184, 0.500], [0.530, 0.533, 0.501], [0.536, 0.489, 0.833], [0.537, 0.163, 0.169], [0.538, 0.870, 0.168], [0.541, 0.207, 0.834], [0.825, 0.208, 0.335], [0.827, 0.163, 0.668], [0.828, 0.488, 0.334], [0.828, 0.872, 0.666], [0.834, 0.536, 0.000], [0.889, 0.183, 0.999], [0.891, 0.848, 0.335], [0.901, 0.512, 0.667], [0.968, 0.350, 0.833], [0.973, 0.015, 0.166], [0.983, 0.684, 0.500], [0.166, 0.848, 0.435], [0.181, 0.518, 0.064], [0.182, 0.516, 0.270], [0.182, 0.848, 0.731], [0.183, 0.515, 0.770], [0.192, 0.524, 0.567], [0.197, 0.847, 0.934], [0.665, 0.349, 0.434], [0.682, 0.349, 0.731], [0.684, 0.349, 0.231], [0.684, 0.350, 0.936], [0.692, 0.024, 0.567], [0.038, 0.327, 0.501], [0.538, 0.827, 0.501], [0.828, 0.826, 0.000], [0.002, 0.536, 0.728], [0.004, 0.494, 0.606], [0.008, 0.197, 0.341], [0.010, 0.172, 0.659], [0.012, 0.502, 0.328], [0.012, 0.862, 0.673], [0.015, 0.525, 0.007], [0.059, 0.596, 0.229], [0.061, 0.435, 0.107], [0.061, 0.768, 0.773], [0.063, 0.926, 0.895], [0.065, 0.096, 0.441], [0.065, 0.273, 0.556], [0.075, 0.590, 0.508], [0.076, 0.264, 0.839], [0.076, 0.438, 0.827], [0.078, 0.103, 0.162], [0.078, 0.928, 0.172], [0.086, 0.771, 0.494], [0.105, 0.287, 0.445], [0.106, 0.416, 0.505], [0.114, 0.276, 0.162], [0.116, 0.081, 0.559], [0.116, 0.754, 0.173], [0.117, 0.087, 0.839], [0.118, 0.608, 0.827], [0.122, 0.415, 0.228], [0.123, 0.949, 0.773], [0.124, 0.940, 0.494], [0.126, 0.750, 0.892], [0.127, 0.614, 0.109], [0.238, 0.620, 0.610], [0.238, 0.938, 0.993], [0.240, 0.750, 0.393], [0.243, 0.414, 0.729], [0.244, 0.950, 0.275], [0.247, 0.079, 0.059], [0.247, 0.285, 0.941], [0.247, 0.758, 0.674], [0.248, 0.607, 0.328], [0.250, 0.088, 0.340], [0.250, 0.277, 0.660], [0.250, 0.425, 0.007], [0.280, 0.772, 0.993], [0.286, 0.264, 0.341], [0.286, 0.438, 0.326], [0.287, 0.927, 0.673], [0.289, 0.100, 0.661], [0.291, 0.593, 0.007], [0.301, 0.439, 0.609], [0.302, 0.927, 0.396], [0.303, 0.098, 0.941], [0.304, 0.766, 0.274], [0.305, 0.265, 0.059], [0.306, 0.597, 0.729], [0.347, 0.526, 0.508], [0.353, 0.502, 0.828], [0.355, 0.171, 0.162], [0.356, 0.861, 0.172], [0.358, 0.196, 0.839], [0.364, 0.536, 0.228], [0.365, 0.494, 0.107], [0.366, 0.827, 0.773], [0.366, 0.872, 0.892], [0.368, 0.165, 0.442], [0.371, 0.198, 0.560], [0.371, 0.837, 0.496], [0.496, 0.699, 0.060], [0.498, 0.374, 0.391], [0.499, 0.666, 0.942], [0.500, 0.034, 0.726], [0.500, 0.328, 0.272], [0.503, 0.994, 0.606], [0.508, 0.002, 0.330], [0.508, 0.671, 0.660], [0.509, 0.695, 0.341], [0.511, 0.028, 0.006], [0.511, 0.363, 0.674], [0.515, 0.337, 0.994], [0.560, 0.430, 0.894], [0.562, 0.269, 0.773], [0.563, 0.098, 0.227], [0.565, 0.596, 0.442], [0.565, 0.773, 0.556], [0.566, 0.935, 0.110], [0.575, 0.090, 0.508], [0.575, 0.600, 0.162], [0.577, 0.935, 0.828], [0.578, 0.427, 0.174], [0.579, 0.763, 0.841], [0.585, 0.272, 0.493], [0.605, 0.786, 0.445], [0.606, 0.916, 0.505], [0.613, 0.587, 0.839], [0.616, 0.110, 0.829], [0.616, 0.581, 0.559], [0.618, 0.774, 0.161], [0.619, 0.120, 0.109], [0.619, 0.259, 0.174], [0.619, 0.914, 0.227], [0.623, 0.249, 0.895], [0.623, 0.450, 0.773], [0.625, 0.440, 0.493], [0.739, 0.121, 0.610], [0.739, 0.253, 0.393], [0.742, 0.450, 0.273], [0.747, 0.259, 0.674], [0.747, 0.914, 0.727], [0.748, 0.582, 0.059], [0.749, 0.441, 0.994], [0.750, 0.110, 0.329], [0.750, 0.775, 0.660], [0.752, 0.587, 0.339], [0.760, 0.915, 0.005], [0.761, 0.786, 0.945], [0.784, 0.762, 0.342], [0.785, 0.271, 0.994], [0.787, 0.095, 0.005], [0.787, 0.935, 0.329], [0.789, 0.427, 0.673], [0.791, 0.600, 0.662], [0.799, 0.598, 0.941], [0.800, 0.773, 0.056], [0.801, 0.938, 0.608], [0.804, 0.268, 0.273], [0.804, 0.428, 0.395], [0.805, 0.099, 0.727], [0.847, 0.026, 0.508], [0.853, 0.363, 0.174], [0.857, 0.670, 0.160], [0.858, 0.001, 0.830], [0.858, 0.696, 0.841], [0.863, 0.329, 0.773], [0.865, 0.370, 0.894], [0.865, 0.997, 0.107], [0.866, 0.034, 0.226], [0.868, 0.665, 0.442], [0.870, 0.698, 0.560], [0.871, 0.337, 0.496], [0.995, 0.836, 0.996], [0.996, 0.201, 0.059], [0.997, 0.829, 0.274], [0.999, 0.164, 0.941], [0.999, 0.872, 0.392]]
}